(1)
Ba10IBr4N5: optimized geometry, GGA-PBE.

Lattice parameters (Å, degrees): 40.317 40.317 40.317 5.98 5.98 5.98
Sites, in units of the cell vectors:
Ba 0.047 0.047 0.047
Ba 0.154 0.154 0.154
Ba 0.245 0.245 0.245
Ba 0.356 0.356 0.356
Ba 0.446 0.446 0.446
Ba 0.554 0.554 0.554
Ba 0.644 0.644 0.644
Ba 0.755 0.755 0.755
Ba 0.846 0.846 0.846
Ba 0.953 0.953 0.953
I 0.000 0.000 0.000
Br 0.200 0.200 0.200
Br 0.401 0.401 0.401
Br 0.599 0.599 0.599
Br 0.800 0.800 0.800
N 0.101 0.101 0.101
N 0.298 0.298 0.298
N 0.500 0.500 0.500
N 0.702 0.702 0.702
N 0.899 0.899 0.899

## Properties
Its formation energy is -1.2414 eV/atom. The value obtained for the spin magnetization is 0.00 μB per formula unit.

***

(2)
YMg14BO16: optimized geometry, GGA-PBE.

Lattice parameters (Å, degrees): 8.684 8.684 4.325 90.00 90.00 90.00
Sites, in units of the cell vectors:
Y 0.000 0.000 0.000
Mg 0.000 0.265 0.500
Mg 0.000 0.500 0.000
Mg 0.000 0.735 0.500
Mg 0.257 0.500 0.500
Mg 0.262 0.262 0.000
Mg 0.262 0.738 0.000
Mg 0.265 0.000 0.500
Mg 0.500 0.000 0.000
Mg 0.500 0.257 0.500
Mg 0.500 0.743 0.500
Mg 0.735 0.000 0.500
Mg 0.738 0.262 0.000
Mg 0.738 0.738 0.000
Mg 0.743 0.500 0.500
B 0.500 0.500 0.000
O 0.000 0.000 0.500
O 0.000 0.257 0.000
O 0.000 0.500 0.500
O 0.000 0.743 0.000
O 0.234 0.500 0.000
O 0.249 0.249 0.500
O 0.249 0.751 0.500
O 0.257 0.000 0.000
O 0.500 0.000 0.500
O 0.500 0.234 0.000
O 0.500 0.500 0.500
O 0.500 0.766 0.000
O 0.743 0.000 0.000
O 0.751 0.249 0.500
O 0.751 0.751 0.500
O 0.766 0.500 0.000

## Properties
Its formation energy is -2.8060 eV/atom. The value obtained for the spin magnetization is 0.01 μB per formula unit. As for the energy relative to the lowest polymorph listed for this composition: 0.000 eV/atom.

***

(3)
RbPrP3HO10: optimized geometry, GGA-PBE.

Lattice parameters (Å, degrees): 7.199 7.984 9.072 70.67 73.19 82.67
Sites, in units of the cell vectors:
Rb 0.236 0.166 0.035
Rb 0.764 0.834 0.965
Pr 0.224 0.134 0.515
Pr 0.776 0.866 0.485
P 0.148 0.538 0.643
P 0.328 0.821 0.355
P 0.329 0.721 0.811
P 0.671 0.279 0.189
P 0.672 0.179 0.645
P 0.852 0.462 0.357
H 0.166 0.595 0.072
H 0.834 0.405 0.928
O 0.044 0.361 0.326
O 0.134 0.933 0.383
O 0.142 0.339 0.679
O 0.191 0.881 0.772
O 0.272 0.613 0.459
O 0.276 0.562 0.754
O 0.295 0.627 0.999
O 0.417 0.828 0.184
O 0.452 0.872 0.445
O 0.456 0.252 0.253
O 0.544 0.748 0.747
O 0.548 0.128 0.555
O 0.583 0.172 0.816
O 0.705 0.373 0.001
O 0.724 0.438 0.246
O 0.728 0.387 0.541
O 0.809 0.119 0.228
O 0.858 0.661 0.321
O 0.866 0.067 0.617
O 0.956 0.639 0.674

## Properties
Its formation energy is -2.8039 eV/atom. The value obtained for the spin magnetization is 0.00 μB per formula unit. As for the energy relative to the lowest polymorph listed for this composition: 0.035 eV/atom.

***

(4)
La2FeSi3: optimized geometry, GGA-PBE.

Lattice parameters (Å, degrees): 4.043 4.043 8.748 90.00 90.00 120.00
Sites, in units of the cell vectors:
La 0.000 0.000 0.243
La 0.000 0.000 0.757
Fe 0.333 0.667 0.000
Si 0.333 0.667 0.500
Si 0.667 0.333 0.000
Si 0.667 0.333 0.500

## Properties
Its formation energy is -0.4820 eV/atom. The value obtained for the spin magnetization is 0.10 μB per formula unit.